The following is a DFT calculation (PBE) of an optimized crystal structure of CrAgSnSe4.

Unit cell a=7.863 b=7.863 c=7.863 alpha=120.59 beta=119.16 gamma=90.22
Sites, in units of the cell vectors:
Se: 0.730 0.222 0.992
Se: 0.730 0.738 0.508
Se: 0.270 0.262 0.492
Sn: 0.000 0.000 0.000
Se: 0.717 0.753 0.964
Cr: 0.500 0.500 0.500
Se: 0.711 0.247 0.464
Se: 0.270 0.778 0.008
Se: 0.289 0.753 0.536
Se: 0.283 0.247 0.036
Cr: 0.500 0.000 0.000
Ag: 0.117 0.367 0.750
Sn: 0.500 0.000 0.500
Ag: 0.883 0.633 0.250

Output
Mass density: 5.7 g cm⁻³
ΔH_f (0 K): -0.66 eV/atom
Crystal system: orthorhombic